(1)
A plane-wave DFT calculation with GGA-PBE was carried out for crystalline ErUTe6 at its relaxed geometry.

abc: 13.117 13.117 4.355
angles: 90.00 90.00 160.86
Positions (direct):
1 Te 0.424 0.576 0.500
2 Te 0.577 0.423 0.000
3 Te 0.706 0.294 0.500
4 Te 0.293 0.707 0.000
5 Te 0.077 0.923 0.500
6 Te 0.924 0.076 0.000
7 Er 0.831 0.169 0.500
8 U 0.169 0.831 0.000

Results
formation energy from the elements	-1026	meV/atom

(2)
A plane-wave DFT calculation with GGA-PBE was carried out for crystalline UO4 at its relaxed geometry.

abc: 5.277 5.480 6.082
angles: 68.41 90.00 90.00
Positions (direct):
1 U 0.500 0.000 0.500
2 U 0.000 0.000 0.000
3 O 0.736 0.867 0.286
4 O 0.236 0.133 0.214
5 O 0.322 0.689 0.612
6 O 0.178 0.689 0.112
7 O 0.764 0.867 0.786
8 O 0.678 0.311 0.388
9 O 0.264 0.133 0.714
10 O 0.822 0.311 0.888

Results
distance to the lowest polymorph of the same formula	0.0181	eV/atom
magnetic moment	0.0	μB/f.u.
formation energy from the elements	-2520	meV/atom

Repeat the second record exactly.
A plane-wave DFT calculation with GGA-PBE was carried out for crystalline UO4 at its relaxed geometry.

abc: 5.277 5.480 6.082
angles: 68.41 90.00 90.00
Positions (direct):
1 U 0.500 0.000 0.500
2 U 0.000 0.000 0.000
3 O 0.736 0.867 0.286
4 O 0.236 0.133 0.214
5 O 0.322 0.689 0.612
6 O 0.178 0.689 0.112
7 O 0.764 0.867 0.786
8 O 0.678 0.311 0.388
9 O 0.264 0.133 0.714
10 O 0.822 0.311 0.888

Results
distance to the lowest polymorph of the same formula	0.0181	eV/atom
magnetic moment	0.0	μB/f.u.
formation energy from the elements	-2520	meV/atom

Which value of formation energy from the elements does entry 1 give?
-1026 meV/atom

Look up the formation energy from the elements of the second one.
-2520 meV/atom

The highest formation energy from the elements belongs to which entry?
ErUTe6